(1)
Compound: Na6Mg3B9P6H3O38
Source: the Materials Project
Functional: GGA-PBE
Structure: optimized geometry

Values from the calculation:
DFT formation energy (meV/atom): -2570

abc: 11.8665 11.8665 12.2072
angles: 90.00 90.00 120.00
Space group P6_3 (No. 173)
Inequivalent atoms, fractional coordinates:
Na (0.0000, 0.0000, 0.0000) [2 per cell]
Na (0.0182, 0.7310, 0.2442) [6 per cell]
Na (0.3333, 0.6667, 0.0852) [2 per cell]
Na (0.3333, 0.6667, 0.5977) [2 per cell]
Mg (0.0040, 0.4996, 0.4986) [6 per cell]
B (0.0391, 0.7476, 0.8491) [6 per cell]
B (0.0437, 0.7472, 0.6471) [6 per cell]
B (0.0872, 0.5926, 0.7510) [6 per cell]
P (0.1862, 0.8040, 0.4588) [6 per cell]
P (0.1884, 0.8080, 0.0341) [6 per cell]
H (0.1632, 0.5007, 0.8292) [6 per cell]
O (0.0000, 0.0000, 0.2113) [2 per cell]
O (0.0587, 0.6314, 0.8486) [6 per cell]
O (0.0646, 0.6300, 0.6498) [6 per cell]
O (0.0850, 0.8185, 0.7481) [6 per cell]
O (0.0959, 0.6690, 0.4124) [6 per cell]
O (0.0978, 0.3005, 0.1301) [6 per cell]
O (0.1002, 0.2956, 0.3654) [6 per cell]
O (0.1058, 0.6718, 0.0825) [6 per cell]
O (0.1135, 0.8364, 0.9411) [6 per cell]
O (0.1170, 0.8349, 0.5563) [6 per cell]
O (0.1434, 0.5144, 0.7533) [6 per cell]
O (0.1660, 0.4864, 0.9910) [6 per cell]
O (0.1697, 0.4888, 0.4968) [6 per cell]
O (0.3333, 0.6667, 0.2859) [2 per cell]

(2)
Compound: TeMoWSeS2
Source: the Materials Project
Functional: GGA-PBE
Structure: optimized geometry

Values from the calculation:
ΔE to the lowest computed polymorph (eV/atom): 0.017
DFT formation energy (meV/atom): -744

abc: 3.3058 3.3058 37.6176
angles: 90.00 90.00 120.00
Space group P3m1 (No. 156)
Inequivalent atoms, fractional coordinates:
Te (0.0000, 0.0000, 0.0000) [1 per cell]
Te (0.0000, 0.0000, 0.1016) [1 per cell]
Mo (0.0000, 0.0000, 0.8629) [1 per cell]
Mo (0.3333, 0.6667, 0.0508) [1 per cell]
W (0.0000, 0.0000, 0.2387) [1 per cell]
W (0.3333, 0.6667, 0.4265) [1 per cell]
Se (0.0000, 0.0000, 0.3817) [1 per cell]
Se (0.0000, 0.0000, 0.4714) [1 per cell]
S (0.3333, 0.6667, 0.1979) [1 per cell]
S (0.3333, 0.6667, 0.2794) [1 per cell]
S (0.3333, 0.6667, 0.8223) [1 per cell]
S (0.3333, 0.6667, 0.9036) [1 per cell]

(3)
Compound: TmBi2ClO4
Source: the Materials Project
Functional: GGA-PBE
Structure: optimized geometry

Values from the calculation:
DFT formation energy (meV/atom): -2406

abc: 3.871 3.871 9.008
angles: 90.00 90.00 90.00
Space group P4/mmm (No. 123)
Inequivalent atoms, fractional coordinates:
Tm (0.000, 0.000, 0.000) [1 per cell]
Bi (0.500, 0.500, 0.277) [2 per cell]
Cl (0.000, 0.000, 0.500) [1 per cell]
O (0.000, 0.500, 0.150) [4 per cell]

(4)
Compound: Rb2MnTe2S6
Source: the Materials Project
Functional: GGA-PBE
Structure: optimized geometry

Values from the calculation:
DFT formation energy (meV/atom): -757

abc: 6.9984 6.9984 15.5591
angles: 90.00 90.00 120.00
Space group P-3c1 (No. 165)
Inequivalent atoms, fractional coordinates:
Rb (0.3333, 0.6667, 0.2969) [4 per cell]
Mn (0.0000, 0.0000, 0.0000) [2 per cell]
Te (0.3333, 0.6667, 0.0388) [4 per cell]
S (0.1094, 0.3218, 0.1088) [12 per cell]

(5)
Compound: CsAlSiO4
Source: the Materials Project
Functional: GGA-PBE
Structure: optimized geometry

Values from the calculation:
DFT formation energy (meV/atom): -3188

abc: 9.130 9.545 5.491
angles: 90.00 90.00 90.00
Space group Pna2_1 (No. 33)
Inequivalent atoms, fractional coordinates:
Cs (0.001, 0.196, 0.000) [4 per cell]
Al (0.178, 0.408, 0.505) [4 per cell]
Si (0.191, 0.579, 0.005) [4 per cell]
O (0.013, 0.594, 0.005) [4 per cell]
O (0.235, 0.234, 0.531) [4 per cell]
O (0.247, 0.482, 0.234) [4 per cell]
O (0.248, 0.504, 0.753) [4 per cell]

(6)
Compound: Mn4VN4
Source: the Materials Project
Functional: GGA-PBE
Structure: optimized geometry

Values from the calculation:
DFT formation energy (meV/atom): -517

abc: 4.961 4.962 7.692
angles: 84.60 72.23 70.00
Space group P-1 (No. 2)
Inequivalent atoms, fractional coordinates:
Mn (0.047, 0.250, 0.395) [2 per cell]
Mn (0.260, 0.241, 0.000) [2 per cell]
Mn (0.373, 0.763, 0.784) [2 per cell]
Mn (0.451, 0.254, 0.601) [2 per cell]
V (0.149, 0.757, 0.219) [2 per cell]
N (0.151, 0.647, 0.994) [2 per cell]
N (0.201, 0.002, 0.602) [2 per cell]
N (0.295, 0.498, 0.403) [2 per cell]
N (0.404, 0.999, 0.188) [2 per cell]